The following is a PBE calculation of a relaxed structure of CoTc3, from the Materials Project.

Results
total energy = -76.9 eV/cell
E_form = -0.06 eV per atom
mass density = 10.87 g/cm³

abc: 5.3780 5.3780 4.3030
angles: 90.00 90.00 120.00
With the nearest neighbours (Å) after each atom.
Space group P6_3/mmc (No. 194)
Unique sites:
1 Co 0.3333 0.6667 0.2500 [2 per cell]  12 Tc 2.65-2.69
2 Tc 0.1671 0.3342 0.7500 [6 per cell]  4 Co 2.65-2.69, 8 Tc 2.66-2.70